This record from Materials Project describes crystalline Ta9PO25 at its relaxed geometry. The functional is GGA-PBE.

Cell and atoms, written as extended XYZ:
```
35
Lattice="-7.869 7.869 1.940 7.869 -7.869 1.940 7.869 7.869 -1.940" Properties=species:S:1:pos:R:3 pbc="T T T"
Ta 0.000 0.000 0.000
Ta 3.475 1.665 -0.002
Ta 10.575 1.829 -0.016
Ta 6.204 -4.393 1.942
Ta 1.829 5.162 0.016
Ta 6.040 2.706 1.955
Ta 1.665 12.262 0.002
Ta -2.706 6.040 1.924
Ta 4.393 6.204 1.938
P 7.869 0.000 0.970
O 11.322 0.152 -0.016
O 1.835 0.811 0.008
O 8.693 1.010 0.125
O 7.057 -6.033 1.931
O 5.578 2.459 -0.013
O 12.293 2.744 0.010
O 2.744 3.444 -0.010
O 9.648 3.881 0.006
O 0.152 4.415 0.016
O 5.410 -2.290 1.953
O 3.881 6.089 -0.006
O 1.010 7.044 -0.125
O 0.000 0.000 1.940
O 6.859 0.825 1.814
O 3.988 1.779 1.934
O 2.459 10.159 0.013
O 7.717 3.454 1.955
O -1.779 3.988 1.945
O 5.125 4.425 1.930
O -4.425 5.125 1.950
O 2.290 5.410 1.927
O 0.811 13.902 -0.008
O 6.033 7.057 1.948
O -0.825 6.859 2.065
O -3.454 7.717 1.924
```

* energy of formation: -3.303 eV/atom
* space-group type: No. 82